No. 1
Below is Li3Fe3P4O16 after structural relaxation, with properties calculated at the GGA+U level.

Output
**Relative energy among the computed polymorphs**: 0.083 eV/atom
**Symmetry**: P-1, No. 2
**Energy**: -351.9 eV for the cell shown

Unit cell a=8.5278 b=9.2132 c=10.0366 alpha=108.15 beta=105.37 gamma=109.61
Last column: nearest neighbours and their distance in Å.
Element x y z (fractional)
Li  0.9482  0.5274  0.1993  3 O 1.92-2.08
Li  0.6383  0.6130  0.1505  2 O 1.92-1.99
Li  0.7163  0.6639  0.7435  2 O 1.93-2.06
Li  0.2837  0.3361  0.2565  2 O 1.93-2.06
Li  0.3617  0.3870  0.8495  2 O 1.92-1.99
Li  0.0518  0.4726  0.8007  3 O 1.92-2.08
Fe  0.2328  0.9484  0.4551  4 O 1.84-2.00
Fe  0.1386  0.8867  0.8225  4 O 1.95-2.09
Fe  0.5542  0.9624  0.7572  4 O 1.91-1.97
Fe  0.4458  0.0376  0.2428  4 O 1.91-1.97
Fe  0.8614  0.1133  0.1775  4 O 1.95-2.09
Fe  0.7672  0.0516  0.5449  4 O 1.84-2.00
P  0.4075  0.7276  0.3907  4 O 1.50-1.62
P  0.9889  0.8134  0.0837  4 O 1.50-1.61
P  0.4583  0.7768  0.9592  4 O 1.50-1.59
P  0.9167  0.7502  0.5109  4 O 1.51-1.60
P  0.0833  0.2498  0.4891  4 O 1.51-1.60
P  0.5417  0.2232  0.0408  4 O 1.50-1.59
P  0.0111  0.1866  0.9163  4 O 1.50-1.61
P  0.5925  0.2725  0.6093  4 O 1.50-1.62
O  0.1956  0.9262  0.2121  1 P 1.61
O  0.5651  0.9453  0.1194  1 P 1.59
O  0.1339  0.8593  0.5876  1 P 1.60
O  0.5204  0.8973  0.3743  1 P 1.62
O  0.2136  0.7156  0.3497  1 P 1.55
O  0.8794  0.9009  0.1483  1 P 1.56
O  0.4951  0.7797  0.5668  1 P 1.56
O  0.2583  0.7507  0.8855  1 P 1.57
O  0.8387  0.8803  0.5150  1 P 1.55
O  0.5665  0.8154  0.8598  1 P 1.57
O  0.4179  0.5712  0.2968  1 P 1.50
O  0.9183  0.6317  0.0624  1 P 1.50
O  0.8436  0.6194  0.3468  1 P 1.51
O  0.1062  0.3084  0.3626  1 P 1.56
O  0.9828  0.8277  0.9324  1 P 1.55
O  0.5409  0.3745  0.0136  1 P 1.50
O  0.4591  0.6255  0.9864  1 P 1.50
O  0.0172  0.1723  0.0676  1 P 1.55
O  0.8938  0.6916  0.6374  1 P 1.56
O  0.1564  0.3806  0.6532  1 P 1.51
O  0.0817  0.3683  0.9376  1 P 1.50
O  0.5821  0.4288  0.7032  1 P 1.50
O  0.4335  0.1846  0.1402  1 P 1.57
O  0.1613  0.1197  0.4850  1 P 1.55
O  0.7417  0.2493  0.1145  1 P 1.57
O  0.5049  0.2203  0.4332  1 P 1.56
O  0.1206  0.0991  0.8517  1 P 1.56
O  0.7864  0.2844  0.6503  1 P 1.55
O  0.4796  0.1027  0.6257  1 P 1.62
O  0.8661  0.1407  0.4124  1 P 1.60
O  0.4349  0.0547  0.8806  1 P 1.59
O  0.8044  0.0738  0.7879  1 P 1.61

No. 2
Below is ZnWO2 after structural relaxation, with properties calculated at the GGA+U level.

Output
**Symmetry**: P-1, No. 2
**Energy**: -92.9 eV for the cell shown

Unit cell a=3.2574 b=8.2874 c=9.6144 alpha=65.23 beta=88.91 gamma=89.03
Last column: nearest neighbours and their distance in Å.
Element x y z (fractional)
Zn  0.7773  0.0938  0.6450  2 O 1.98-2.21
Zn  0.2227  0.9062  0.3550  2 O 1.98-2.21
Zn  0.7148  0.1697  0.3024  1 O 2.05
Zn  0.2852  0.8303  0.6976  1 O 2.05
W  0.7524  0.5499  0.6320  5 O 2.06-2.20
W  0.2488  0.1891  0.9676  6 O 2.00-2.19
W  0.7512  0.8109  0.0324  6 O 2.00-2.19
W  0.2476  0.4501  0.3680  5 O 2.06-2.20
O  0.7772  0.5767  0.2200  3 W 2.02-2.20
O  0.2869  0.7511  0.9299  2 W 2.00-2.14, 1 Zn 2.05
O  0.7131  0.2489  0.0701  2 W 2.00-2.14, 1 Zn 2.05
O  0.2228  0.4233  0.7800  3 W 2.02-2.20
O  0.2573  0.6444  0.4643  1 Zn 1.98, 3 W 2.17-2.19
O  0.7592  0.0837  0.8782  3 W 2.12-2.19, 1 Zn 2.21
O  0.7427  0.3556  0.5357  1 Zn 1.98, 3 W 2.17-2.19
O  0.2408  0.9163  0.1218  3 W 2.12-2.19, 1 Zn 2.21

No. 3
Below is MnSnO3 after structural relaxation, with properties calculated at the GGA+U level.

Output
**Symmetry**: R3c, No. 161
**Energy**: -69.2 eV for the cell shown
**Piezoelectric modulus e_max**: 0.49 C/m2

Unit cell a=5.4577 b=5.7157 c=5.4590 alpha=90.00 beta=59.99 gamma=61.49
Last column: nearest neighbours and their distance in Å.
Element x y z (fractional)
Mn  0.2718  0.5922  0.8641  6 O 2.14-2.35
Mn  0.2723  0.0915  0.3638  6 O 2.14-2.34
Sn  0.7046  0.4430  0.1477  6 O 2.07-2.15
Sn  0.7044  0.9431  0.6478  6 O 2.07-2.15
O  0.1977  0.2384  0.7712  2 Sn 2.07-2.15, 1 Mn 2.14
O  0.5329  0.2381  0.0312  2 Sn 2.07-2.15, 1 Mn 2.14
O  0.7929  0.2384  0.4359  2 Sn 2.07-2.15, 1 Mn 2.14
O  0.1976  0.7385  0.5311  2 Sn 2.07-2.15, 1 Mn 2.14
O  0.5329  0.7382  0.9359  2 Sn 2.07-2.15, 1 Mn 2.14
O  0.7928  0.7385  0.2712  2 Sn 2.07-2.15, 1 Mn 2.14

Number 1: calculated formation energy -229.2 kJ per mole of atoms, M_tot 5.0 μB per formula unit. Number 2: calculated formation energy -119.0 kJ per mole of atoms, M_tot 2.5 μB per formula unit. Number 3: calculated formation energy -198.9 kJ per mole of atoms, M_tot 0.0 μB per formula unit.